1.
This record from the Materials Project describes a geometry-optimized CrPC5Cl3O5 structure. The functional is PBE+U.

abc: 6.8617 13.2853 13.1849
angles: 90.00 91.75 90.00
Element x y z (fractional)
Cr  0.2113  0.2002  0.1065
Cr  0.2113  0.2998  0.6065
Cr  0.7887  0.7002  0.3935
Cr  0.7887  0.7998  0.8935
P  0.1895  0.1348  0.6632
P  0.1895  0.3652  0.1632
P  0.8105  0.6348  0.8368
P  0.8105  0.8652  0.3368
C  0.0364  0.6674  0.3375
C  0.0364  0.8326  0.8375
C  0.0824  0.2399  0.9814
C  0.0824  0.2601  0.4814
C  0.2370  0.0660  0.0581
C  0.2370  0.4340  0.5581
C  0.3348  0.1606  0.2333
C  0.3348  0.3394  0.7333
C  0.4568  0.2364  0.0502
C  0.4568  0.2636  0.5502
C  0.5432  0.7364  0.4498
C  0.5432  0.7636  0.9498
C  0.6652  0.6606  0.2667
C  0.6652  0.8394  0.7667
C  0.7630  0.5660  0.4419
C  0.7630  0.9340  0.9419
C  0.9176  0.7399  0.5186
C  0.9176  0.7601  0.0186
C  0.9636  0.1674  0.1625
C  0.9636  0.3326  0.6625
Cl  0.0751  0.5824  0.7908
Cl  0.0751  0.9176  0.2908
Cl  0.2586  0.0234  0.5638
Cl  0.2586  0.4766  0.0638
Cl  0.3649  0.0940  0.7854
Cl  0.3649  0.4060  0.2854
Cl  0.6351  0.5940  0.7146
Cl  0.6351  0.9060  0.2146
Cl  0.7414  0.5234  0.9362
Cl  0.7414  0.9766  0.4362
Cl  0.9249  0.0824  0.7092
Cl  0.9249  0.4176  0.2092
O  0.0071  0.2358  0.4054
O  0.0071  0.2642  0.9054
O  0.1849  0.6479  0.3031
O  0.1849  0.8521  0.8031
O  0.2536  0.5163  0.5296
O  0.2536  0.9837  0.0296
O  0.3973  0.7398  0.9848
O  0.3973  0.7602  0.4848
O  0.4038  0.1363  0.3107
O  0.4038  0.3637  0.8107
O  0.5962  0.6363  0.1893
O  0.5962  0.8637  0.6893
O  0.6027  0.2398  0.5152
O  0.6027  0.2602  0.0152
O  0.7464  0.0163  0.9704
O  0.7464  0.4837  0.4704
O  0.8151  0.1479  0.1969
O  0.8151  0.3521  0.6969
O  0.9929  0.7358  0.0946
O  0.9929  0.7642  0.5946

## Properties
DFT formation energy ... -12.04 eV per formula unit
Final energy ... -392.4 eV for the cell shown
M_tot ... 0.0 Bohr magnetons per cell
SG ... No. 14

=====

2.
This record from the Materials Project describes a geometry-optimized Li3FeO4 structure. The functional is PBE+U.

abc: 7.1342 7.1342 7.1342
angles: 109.47 109.47 109.47
Element x y z (fractional)
Li  0.0000  0.4942  0.7487
Li  0.0000  0.7487  0.4942
Li  0.2513  0.2513  0.7456
Li  0.2513  0.7456  0.2513
Li  0.2544  0.5058  0.5058
Li  0.4942  0.0000  0.7487
Li  0.4942  0.7487  0.0000
Li  0.5058  0.2544  0.5058
Li  0.5058  0.5058  0.2544
Li  0.7456  0.2513  0.2513
Li  0.7487  0.0000  0.4942
Li  0.7487  0.4942  0.0000
Fe  0.0000  0.0000  0.2645
Fe  0.0000  0.2645  0.0000
Fe  0.2645  0.0000  0.0000
Fe  0.7355  0.7355  0.7355
O  0.0000  0.0000  0.7759
O  0.0000  0.2282  0.4747
O  0.0000  0.4747  0.2282
O  0.0000  0.7759  0.0000
O  0.2241  0.2241  0.2241
O  0.2282  0.0000  0.4747
O  0.2282  0.4747  0.0000
O  0.2465  0.7718  0.7718
O  0.4747  0.0000  0.2282
O  0.4747  0.2282  0.0000
O  0.5253  0.5253  0.7535
O  0.5253  0.7535  0.5253
O  0.7535  0.5253  0.5253
O  0.7718  0.2465  0.7718
O  0.7718  0.7718  0.2465
O  0.7759  0.0000  0.0000

## Properties
DFT formation energy ... -14.44 eV per formula unit
Relative energy among the computed polymorphs ... 0 meV per atom
Final energy ... -173.7 eV for the cell shown
SG ... No. 217
Largest piezoelectric modulus ... 0.0 C/m²

=====

3.
This record from the Materials Project describes a geometry-optimized MnSeO4 structure. The functional is PBE+U.

abc: 4.9611 13.3769 7.5863
angles: 90.00 130.68 90.00
Element x y z (fractional)
Mn  0.1426  0.2321  0.2419
Mn  0.1426  0.2679  0.7419
Mn  0.8574  0.7321  0.2581
Mn  0.8574  0.7679  0.7581
Se  0.2801  0.6082  0.7245
Se  0.2801  0.8918  0.2245
Se  0.7199  0.1082  0.7755
Se  0.7199  0.3918  0.2755
O  0.0638  0.1985  0.9549
O  0.0638  0.3015  0.4549
O  0.1002  0.6129  0.3075
O  0.1002  0.8871  0.8075
O  0.3891  0.1431  0.7772
O  0.3891  0.3569  0.2772
O  0.3904  0.6612  0.9720
O  0.3904  0.8388  0.4720
O  0.6096  0.1612  0.5280
O  0.6096  0.3388  0.0280
O  0.6109  0.6431  0.7228
O  0.6109  0.8569  0.2228
O  0.8998  0.1129  0.1925
O  0.8998  0.3871  0.6925
O  0.9362  0.6985  0.5451
O  0.9362  0.8015  0.0451

## Properties
DFT formation energy ... -7.63 eV per formula unit
Final energy ... -142.6 eV for the cell shown
M_tot ... 12.0 Bohr magnetons per cell
SG ... No. 14

=====

4.
This record from the Materials Project describes a geometry-optimized VO2F structure. The functional is PBE+U.

abc: 5.1361 5.1523 13.0187
angles: 88.84 89.23 60.85
Element x y z (fractional)
V  0.0000  0.0000  0.0000
V  0.0276  0.0346  0.5027
V  0.3332  0.3941  0.3365
V  0.4132  0.2519  0.8327
V  0.6735  0.6469  0.1700
V  0.7765  0.6189  0.6703
O  0.0490  0.5757  0.2555
O  0.0499  0.4009  0.7552
O  0.1313  0.2270  0.4202
O  0.2922  0.6513  0.4217
O  0.3060  0.0737  0.9195
O  0.3972  0.7328  0.0876
O  0.6301  0.9797  0.7506
O  0.6397  0.3998  0.2541
O  0.7252  0.2382  0.9173
O  0.7960  0.3089  0.5870
O  0.8120  0.9064  0.0855
O  0.9571  0.7300  0.5875
F  0.1274  0.6627  0.9210
F  0.3682  0.9034  0.5866
F  0.4612  0.5686  0.7533
F  0.4644  0.9791  0.2521
F  0.7148  0.0576  0.4210
F  0.9797  0.3227  0.0859

## Properties
DFT formation energy ... -9.77 eV per formula unit
Final energy ... -162.8 eV for the cell shown
M_tot ... 0.0 Bohr magnetons per cell
SG ... No. 1

=====

5.
This record from the Materials Project describes a geometry-optimized V4Cd3P6O24 structure. The functional is PBE+U.

abc: 6.5756 8.9043 8.9300
angles: 89.86 71.93 72.29
Element x y z (fractional)
V  0.0000  0.0000  0.0000
V  0.2324  0.4433  0.4523
V  0.5017  0.6837  0.3153
V  0.7358  0.1293  0.7618
Cd  0.1178  0.3194  0.1252
Cd  0.3970  0.5832  0.9012
Cd  0.6233  0.8135  0.6319
P  0.0116  0.7094  0.2397
P  0.1208  0.7788  0.6624
P  0.2303  0.2084  0.7416
P  0.5047  0.9205  0.0254
P  0.6167  0.3465  0.1041
P  0.7265  0.4203  0.5240
O  0.0118  0.8694  0.1756
O  0.0478  0.1172  0.7954
O  0.0840  0.5831  0.0986
O  0.0996  0.6146  0.6376
O  0.1447  0.8021  0.8288
O  0.1787  0.3437  0.8649
O  0.1882  0.6559  0.3312
O  0.2248  0.2680  0.5802
O  0.2721  0.0457  0.0434
O  0.3353  0.7997  0.5363
O  0.4019  0.3272  0.2299
O  0.4645  0.0813  0.7206
O  0.5108  0.8588  0.1854
O  0.5484  0.4735  0.4333
O  0.5574  0.7832  0.9009
O  0.5948  0.3245  0.9365
O  0.6319  0.5143  0.1243
O  0.6617  0.5480  0.6619
O  0.6877  0.0092  0.9684
O  0.7245  0.2605  0.5879
O  0.7777  0.7213  0.3592
O  0.8308  0.2191  0.1194
O  0.9068  0.9084  0.6477
O  0.9605  0.4058  0.4023

## Properties
DFT formation energy ... -94.25 eV per formula unit
Final energy ... -261.3 eV for the cell shown
M_tot ... 8.0 Bohr magnetons per cell
SG ... No. 1

=====

6.
This record from the Materials Project describes a geometry-optimized Li10Ti11Cr9O40 structure. The functional is PBE+U.

abc: 5.9529 5.9572 24.5603
angles: 83.21 89.96 60.25
Element x y z (fractional)
Li  0.0260  0.4482  0.0745
Li  0.1758  0.1518  0.5245
Li  0.2245  0.0491  0.6745
Li  0.3745  0.7517  0.1250
Li  0.4257  0.6477  0.2758
Li  0.5743  0.3523  0.7242
Li  0.6255  0.2483  0.8750
Li  0.7755  0.9509  0.3255
Li  0.8242  0.8482  0.4755
Li  0.9740  0.5518  0.9255
Ti  0.0000  0.0000  0.0000
Ti  0.0933  0.3009  0.3007
Ti  0.0988  0.8038  0.8013
Ti  0.3020  0.3981  0.4001
Ti  0.4019  0.1981  0.1994
Ti  0.5000  0.0000  0.0000
Ti  0.5000  0.5000  0.5000
Ti  0.5981  0.8019  0.8006
Ti  0.6980  0.6019  0.5999
Ti  0.9012  0.1962  0.1987
Ti  0.9067  0.6991  0.6993
Cr  0.0997  0.3004  0.7995
Cr  0.2005  0.5994  0.5998
Cr  0.3001  0.9005  0.9004
Cr  0.3007  0.8994  0.4000
Cr  0.5000  0.5000  0.0000
Cr  0.6993  0.1006  0.6000
Cr  0.6999  0.0995  0.0996
Cr  0.7995  0.4006  0.4002
Cr  0.9003  0.6996  0.2005
O  0.0187  0.9183  0.1534
O  0.0277  0.4343  0.6484
O  0.0311  0.8832  0.6491
O  0.0556  0.3891  0.1576
O  0.1507  0.2098  0.4421
O  0.1620  0.7201  0.9534
O  0.1668  0.1675  0.9539
O  0.1836  0.6787  0.4484
O  0.2147  0.5224  0.7515
O  0.2320  0.0348  0.2474
O  0.2370  0.4772  0.2481
O  0.2556  0.9888  0.7573
O  0.3433  0.8125  0.0427
O  0.3693  0.3173  0.5510
O  0.3726  0.7657  0.5518
O  0.3825  0.2791  0.0468
O  0.4162  0.1214  0.3516
O  0.4333  0.6321  0.8465
O  0.4367  0.0819  0.8463
O  0.4494  0.5905  0.3577
O  0.5506  0.4095  0.6423
O  0.5633  0.9181  0.1537
O  0.5667  0.3679  0.1535
O  0.5838  0.8786  0.6484
O  0.6175  0.7209  0.9532
O  0.6274  0.2343  0.4482
O  0.6307  0.6827  0.4490
O  0.6567  0.1875  0.9573
O  0.7444  0.0112  0.2427
O  0.7630  0.5228  0.7519
O  0.7680  0.9652  0.7526
O  0.7853  0.4776  0.2485
O  0.8164  0.3213  0.5516
O  0.8332  0.8325  0.0461
O  0.8380  0.2799  0.0466
O  0.8493  0.7902  0.5579
O  0.9444  0.6109  0.8424
O  0.9689  0.1168  0.3509
O  0.9723  0.5657  0.3516
O  0.9813  0.0817  0.8466

## Properties
DFT formation energy ... -204.53 eV per formula unit
Final energy ... -549.8 eV for the cell shown
M_tot ... 26.0 Bohr magnetons per cell
SG ... No. 2